one | 56
Lattice="10.866 0.000 0.000 0.000 6.774 0.000 -10.128 0.000 11.538" Properties=species:S:1:pos:R:3 comment="LaH3O3 PBE optimized geometry" total_magnetization_mub_per_fu=0.0 space_group=P2_1/c pbc="T T T"
La 0.107 0.192 1.922
La -4.957 3.195 7.690
La 0.233 3.620 3.834
La -4.831 6.542 9.603
La 5.569 0.233 1.935
La 0.505 3.154 7.704
La 5.695 3.579 3.847
La 0.631 6.582 9.616
H -2.968 1.505 3.470
H -8.032 1.882 9.239
H -2.893 4.328 5.786
H 2.171 5.834 0.017
H -3.838 0.510 6.871
H 1.226 2.877 1.102
H -1.121 1.032 4.603
H -6.185 2.355 10.372
H 4.234 4.831 0.373
H -0.829 5.330 6.142
H -1.642 1.013 7.858
H 3.422 2.374 2.089
H -2.684 4.400 9.448
H 2.380 5.762 3.680
H 1.568 1.444 5.395
H -3.496 1.943 11.164
H 6.923 4.419 1.166
H 1.859 5.742 6.935
H -0.488 3.897 10.436
H 4.576 6.264 4.667
H -1.433 0.941 11.520
H 3.631 2.447 5.751
H 8.771 4.892 2.299
H 3.707 5.269 8.068
O -1.120 4.946 2.424
O -6.184 5.216 8.193
O -3.862 4.183 5.769
O 1.202 5.978 0.000
O -1.018 1.478 3.743
O -6.082 1.909 9.512
O -3.797 0.989 7.720
O 1.267 2.398 1.951
O -0.786 4.373 5.958
O 4.278 5.788 0.189
O -3.661 4.435 9.373
O 1.402 5.726 3.604
O -0.664 1.048 7.934
O 4.400 2.339 2.165
O -3.540 0.986 11.349
O 1.524 2.401 5.580
O -0.528 4.377 9.586
O 4.536 5.785 3.818
O 6.820 4.866 2.025
O 1.757 5.296 7.794
O -0.463 0.796 11.538
O 4.601 2.591 5.769
O 6.922 1.559 3.345
O 1.858 1.829 9.114

two | 14
Lattice="6.617 0.000 0.000 0.000 3.832 0.000 -3.265 0.000 5.810" Properties=species:S:1:pos:R:3 comment="LaH3O3 PBE optimized geometry" total_magnetization_mub_per_fu=0.0 space_group=P2_1/m pbc="T T T"
La 0.005 0.958 1.917
La 3.347 2.874 3.893
H -1.365 0.958 4.974
H 0.102 2.874 4.059
H 1.927 2.874 0.864
H 1.425 0.958 4.947
H 3.250 0.958 1.751
H 4.717 2.874 0.836
O -2.284 0.958 5.303
O -0.675 2.874 3.477
O 1.720 2.874 1.816
O 1.632 0.958 3.994
O 4.027 0.958 2.333
O 5.636 2.874 0.507

Least stable structure: one